# HoScS3 | the Materials Project | meta-GGA r2SCAN | relaxed
# Energy of formation, eV per atom: -2.2667
data_HoScS3
_space_group_name_H-M_alt 'P n m a'
_space_group_IT_number 62
_space_group_name_Hall '-P 2ac 2n'
_cell_length_a 6.9739
_cell_length_b 9.5292
_cell_length_c 6.3572
_cell_angle_alpha 90.00
_cell_angle_beta 90.00
_cell_angle_gamma 90.00
loop_
_atom_site_label
_atom_site_type_symbol
_atom_site_fract_x
_atom_site_fract_y
_atom_site_fract_z
Ho1 Ho 0.1006 0.2500 0.0411
Sc1 Sc 0.0000 0.0000 0.5000
S1 S 0.0496 0.7500 0.3532
S2 S 0.1843 0.5726 0.8240


# PmNd3 | the Materials Project | meta-GGA r2SCAN | relaxed
# Energy relative to the lowest polymorph listed for this composition, meV per atom: 0
# Energy of formation, eV per atom: 0.0193
data_PmNd3
_space_group_name_H-M_alt 'I 4/m m m'
_space_group_IT_number 139
_space_group_name_Hall '-I 4 2'
_cell_length_a 5.2175
_cell_length_b 5.2175
_cell_length_c 10.3635
_cell_angle_alpha 90.00
_cell_angle_beta 90.00
_cell_angle_gamma 90.00
loop_
_atom_site_label
_atom_site_type_symbol
_atom_site_fract_x
_atom_site_fract_y
_atom_site_fract_z
Pm1 Pm 0.0000 0.0000 0.0000
Nd1 Nd 0.0000 0.0000 0.5000
Nd2 Nd 0.0000 0.5000 0.2500


# SrF3 | the Materials Project | meta-GGA r2SCAN | relaxed
# Energy of formation, eV per atom: -3.0249
data_SrF3
_space_group_name_H-M_alt 'I 4/m m m'
_space_group_IT_number 139
_space_group_name_Hall '-I 4 2'
_cell_length_a 3.9923
_cell_length_b 3.9923
_cell_length_c 6.4684
_cell_angle_alpha 90.00
_cell_angle_beta 90.00
_cell_angle_gamma 90.00
loop_
_atom_site_label
_atom_site_type_symbol
_atom_site_fract_x
_atom_site_fract_y
_atom_site_fract_z
Sr1 Sr 0.0000 0.0000 0.0000
F1 F 0.0000 0.0000 0.5000
F2 F 0.0000 0.5000 0.2500


# TaCrCo | the Materials Project | meta-GGA r2SCAN | relaxed
# Energy of formation, eV per atom: 0.0037
data_TaCrCo
_space_group_name_H-M_alt 'A m m 2'
_space_group_IT_number 38
_space_group_name_Hall 'A 2 -2'
_cell_length_a 7.9549
_cell_length_b 4.7923
_cell_length_c 8.1647
_cell_angle_alpha 90.00
_cell_angle_beta 90.00
_cell_angle_gamma 90.00
loop_
_atom_site_label
_atom_site_type_symbol
_atom_site_fract_x
_atom_site_fract_y
_atom_site_fract_z
Ta1 Ta 0.1835 0.0000 0.0000
Ta2 Ta 0.3108 0.0000 0.6676
Cr1 Cr 0.0000 0.0000 0.4952
Cr2 Cr 0.5000 0.0000 0.1604
Cr3 Cr 0.5000 0.2450 0.9177
Co1 Co 0.0000 0.2469 0.7378
Co2 Co 0.2429 0.0000 0.3304


# LiV3O8 | the Materials Project | meta-GGA r2SCAN | relaxed
# Energy of formation, eV per atom: -2.4707
data_LiV3O8
_space_group_name_H-M_alt 'P 1 21/m 1'
_space_group_IT_number 11
_space_group_name_Hall '-P 2yb'
_cell_length_a 6.6580
_cell_length_b 3.5571
_cell_length_c 11.7182
_cell_angle_alpha 90.00
_cell_angle_beta 104.44
_cell_angle_gamma 90.00
loop_
_atom_site_label
_atom_site_type_symbol
_atom_site_fract_x
_atom_site_fract_y
_atom_site_fract_z
Li1 Li 0.1839 0.2500 0.1822
V1 V 0.1301 0.7500 0.4191
V2 V 0.2708 0.7500 0.6930
V3 V 0.3034 0.7500 0.9615
O1 O 0.0508 0.2500 0.4286
O2 O 0.1248 0.7500 0.8255
O3 O 0.1747 0.7500 0.0625
O4 O 0.1827 0.2500 0.6751
O5 O 0.2360 0.7500 0.3090
O6 O 0.3334 0.7500 0.5485
O7 O 0.3929 0.2500 0.9582
O8 O 0.5001 0.2500 0.2186


# Dy2Tl | the Materials Project | meta-GGA r2SCAN | relaxed
# Energy of formation, eV per atom: -0.3806
data_Dy2Tl
_space_group_name_H-M_alt 'P 63/m m c'
_space_group_IT_number 194
_space_group_name_Hall '-P 6c 2c'
_cell_length_a 5.3700
_cell_length_b 5.3700
_cell_length_c 6.6806
_cell_angle_alpha 90.00
_cell_angle_beta 90.00
_cell_angle_gamma 120.00
loop_
_atom_site_label
_atom_site_type_symbol
_atom_site_fract_x
_atom_site_fract_y
_atom_site_fract_z
Dy1 Dy 0.0000 0.0000 0.0000
Dy2 Dy 0.3333 0.6667 0.2500
Tl1 Tl 0.3333 0.6667 0.7500


# TiB2Mo | the Materials Project | meta-GGA r2SCAN | relaxed
# Energy of formation, eV per atom: -0.8535
data_TiB2Mo
_space_group_name_H-M_alt 'A m m 2'
_space_group_IT_number 38
_space_group_name_Hall 'A 2 -2'
_cell_length_a 3.0764
_cell_length_b 3.1710
_cell_length_c 8.4263
_cell_angle_alpha 90.00
_cell_angle_beta 90.00
_cell_angle_gamma 90.00
loop_
_atom_site_label
_atom_site_type_symbol
_atom_site_fract_x
_atom_site_fract_y
_atom_site_fract_z
Ti1 Ti 0.0000 0.0000 0.0000
B1 B 0.0000 0.0000 0.2926
B2 B 0.5000 0.0000 0.4114
Mo1 Mo 0.5000 0.0000 0.7067


# Pr2Ho | the Materials Project | meta-GGA r2SCAN | relaxed
# Energy of formation, eV per atom: 0.0232
data_Pr2Ho
_space_group_name_H-M_alt 'P -6 m 2'
_space_group_IT_number 187
_space_group_name_Hall 'P -6 2'
_cell_length_a 3.6690
_cell_length_b 3.6690
_cell_length_c 35.4174
_cell_angle_alpha 90.00
_cell_angle_beta 90.00
_cell_angle_gamma 120.00
loop_
_atom_site_label
_atom_site_type_symbol
_atom_site_fract_x
_atom_site_fract_y
_atom_site_fract_z
Pr1 Pr 0.0000 0.0000 0.0815
Pr2 Pr 0.0000 0.0000 0.2537
Pr3 Pr 0.0000 0.0000 0.4180
Pr4 Pr 0.3333 0.6667 0.1672
Ho1 Ho 0.3333 0.6667 0.5000
Ho2 Ho 0.6667 0.3333 0.0000
Ho3 Ho 0.6667 0.3333 0.3356


# K7Nb14P9O60 | the Materials Project | meta-GGA r2SCAN | relaxed
# Energy of formation, eV per atom: -2.6726
data_K7Nb14P9O60
_space_group_name_H-M_alt 'P m m a'
_space_group_IT_number 51
_space_group_name_Hall '-P 2a 2a'
_cell_length_a 37.1051
_cell_length_b 10.7082
_cell_length_c 6.4897
_cell_angle_alpha 90.00
_cell_angle_beta 90.00
_cell_angle_gamma 90.00
loop_
_atom_site_label
_atom_site_type_symbol
_atom_site_fract_x
_atom_site_fract_y
_atom_site_fract_z
K1 K 0.0000 0.0000 0.0000
K2 K 0.1072 0.5000 0.2471
K3 K 0.1125 0.0000 0.0368
K4 K 0.2500 0.0000 0.2738
K5 K 0.2500 0.5000 0.4517
Nb1 Nb 0.0539 0.0000 0.5194
Nb2 Nb 0.0546 0.3241 0.7432
Nb3 Nb 0.1574 0.3225 0.7544
Nb4 Nb 0.1583 0.0000 0.5466
Nb5 Nb 0.2500 0.3162 0.9528
P1 P 0.0397 0.2613 0.2434
P2 P 0.1759 0.2614 0.2549
P3 P 0.2500 0.0000 0.7723
O1 O 0.0000 0.0000 0.5000
O2 O 0.0008 0.2720 0.7744
O3 O 0.0436 0.5000 0.7471
O4 O 0.0517 0.1256 0.2565
O5 O 0.0527 0.3362 0.4301
O6 O 0.0584 0.1333 0.7071
O7 O 0.0581 0.3198 0.0545
O8 O 0.1045 0.3406 0.7342
O9 O 0.1087 0.0000 0.4634
O10 O 0.1523 0.2971 0.0679
O11 O 0.1529 0.1357 0.7284
O12 O 0.1598 0.5000 0.7908
O13 O 0.1613 0.3374 0.4396
O14 O 0.1727 0.1225 0.2986
O15 O 0.2107 0.3168 0.7696
O16 O 0.2148 0.2982 0.2128
O17 O 0.2163 0.0000 0.6334
O18 O 0.2500 0.1158 0.9164
O19 O 0.2500 0.5000 0.9866


# TbNdCo4 | the Materials Project | meta-GGA r2SCAN | relaxed
# Energy of formation, eV per atom: -0.0218
data_TbNdCo4
_space_group_name_H-M_alt 'F -4 3 m'
_space_group_IT_number 216
_space_group_name_Hall 'F -4 2 3'
_cell_length_a 7.2383
_cell_length_b 7.2383
_cell_length_c 7.2383
_cell_angle_alpha 90.00
_cell_angle_beta 90.00
_cell_angle_gamma 90.00
loop_
_atom_site_label
_atom_site_type_symbol
_atom_site_fract_x
_atom_site_fract_y
_atom_site_fract_z
Tb1 Tb 0.0000 0.0000 0.0000
Nd1 Nd 0.2500 0.2500 0.7500
Co1 Co 0.1254 0.1254 0.3746


# CaGe2Pt | the Materials Project | meta-GGA r2SCAN | relaxed
# Energy of formation, eV per atom: -0.7944
data_CaGe2Pt
_space_group_name_H-M_alt 'I m m m'
_space_group_IT_number 71
_space_group_name_Hall '-I 2 2'
_cell_length_a 4.4260
_cell_length_b 8.8581
_cell_length_c 16.1116
_cell_angle_alpha 90.00
_cell_angle_beta 90.00
_cell_angle_gamma 90.00
loop_
_atom_site_label
_atom_site_type_symbol
_atom_site_fract_x
_atom_site_fract_y
_atom_site_fract_z
Ca1 Ca 0.0000 0.0000 0.2031
Ca2 Ca 0.0000 0.2467 0.0000
Ge1 Ge 0.0000 0.0000 0.4229
Ge2 Ge 0.0000 0.3508 0.1973
Ge3 Ge 0.0000 0.5000 0.4252
Pt1 Pt 0.0000 0.2504 0.3518


# Hf3N4 | the Materials Project | meta-GGA r2SCAN | relaxed
# Energy relative to the lowest polymorph listed for this composition, meV per atom: 0
# Energy of formation, eV per atom: -1.9739
data_Hf3N4
_space_group_name_H-M_alt 'P n m a'
_space_group_IT_number 62
_space_group_name_Hall '-P 2ac 2n'
_cell_length_a 9.7573
_cell_length_b 3.2258
_cell_length_c 10.6589
_cell_angle_alpha 90.00
_cell_angle_beta 90.00
_cell_angle_gamma 90.00
loop_
_atom_site_label
_atom_site_type_symbol
_atom_site_fract_x
_atom_site_fract_y
_atom_site_fract_z
Hf1 Hf 0.0694 0.2500 0.1247
Hf2 Hf 0.1060 0.2500 0.5932
Hf3 Hf 0.2271 0.2500 0.8534
N1 N 0.0085 0.2500 0.7754
N2 N 0.1035 0.7500 0.4703
N3 N 0.1412 0.7500 0.9821
N4 N 0.2386 0.7500 0.7148


> Number 10 is which compound?

TbNdCo4


> Which of these has the highest energy of formation?

Pr2Ho


> What is the formula in the tenth record?

TbNdCo4